1.
PuSb: optimized geometry, meta-GGA r2SCAN.

Cell: 3.791 3.791 3.791 Å, 90.00 90.00 90.00°
Positions (direct):
Pu: 0.000 0.000 0.000
Sb: 0.500 0.500 0.500

## Properties
ΔE_f: -1.741 eV/f.u.
Volume: 27.2 Å³/atom
E: -56.90 eV/atom
Total moment: 5.7 μB per formula unit

***

2.
Yb3Cr: optimized geometry, meta-GGA r2SCAN.

Cell: 4.695 4.695 4.695 Å, 90.00 90.00 90.00°
Positions (direct):
Yb: 0.000 0.000 0.500
Yb: 0.000 0.500 0.000
Yb: 0.500 0.000 0.000
Cr: 0.500 0.500 0.500

## Properties
ΔE_f: 0.720 eV/f.u.
Volume: 25.9 Å³/atom
E: -30.99 eV/atom
Total moment: 4.6 μB per formula unit

***

3.
V3Rh: optimized geometry, meta-GGA r2SCAN.

Cell: 4.753 4.753 4.753 Å, 90.00 90.00 90.00°
Positions (direct):
V: 0.000 0.250 0.500
V: 0.000 0.750 0.500
V: 0.250 0.500 0.000
V: 0.500 0.000 0.250
V: 0.500 0.000 0.750
V: 0.750 0.500 0.000
Rh: 0.000 0.000 0.000
Rh: 0.500 0.500 0.500

## Properties
ΔE_f: -1.420 eV/f.u.
Volume: 13.4 Å³/atom
E: -16.96 eV/atom
Total moment: 0.0 μB per formula unit

***

4.
PrNi2Sn2: optimized geometry, meta-GGA r2SCAN.

Cell: 6.074 6.074 6.074 Å, 137.21 137.21 62.11°
Positions (direct):
Pr: 0.000 0.000 0.000
Ni: 0.250 0.750 0.500
Ni: 0.750 0.250 0.500
Sn: 0.362 0.362 0.000
Sn: 0.638 0.638 0.000

## Properties
ΔE_f: -2.485 eV/f.u.
Volume: 20.4 Å³/atom
E: -21.07 eV/atom
Total moment: 0.0 μB per formula unit

***

5.
PrAs2Au: optimized geometry, meta-GGA r2SCAN.

Cell: 5.862 20.846 5.824 Å, 90.00 90.00 90.00°
Positions (direct):
Pr: 0.014 0.116 0.250
Pr: 0.014 0.384 0.750
Pr: 0.485 0.621 0.750
Pr: 0.485 0.879 0.250
Pr: 0.515 0.121 0.750
Pr: 0.515 0.379 0.250
Pr: 0.986 0.616 0.250
Pr: 0.986 0.884 0.750
As: 0.014 0.161 0.750
As: 0.014 0.339 0.250
As: 0.281 0.001 0.534
As: 0.281 0.001 0.966
As: 0.281 0.499 0.034
As: 0.281 0.499 0.466
As: 0.486 0.662 0.250
As: 0.486 0.838 0.750
As: 0.514 0.162 0.250
As: 0.514 0.338 0.750
As: 0.719 0.501 0.534
As: 0.719 0.501 0.966
As: 0.719 0.999 0.034
As: 0.719 0.999 0.466
As: 0.986 0.661 0.750
As: 0.986 0.839 0.250
Au: 0.230 0.750 0.000
Au: 0.230 0.750 0.500
Au: 0.267 0.250 0.000
Au: 0.267 0.250 0.500
Au: 0.733 0.750 0.000
Au: 0.733 0.750 0.500
Au: 0.770 0.250 0.000
Au: 0.770 0.250 0.500

## Properties
ΔE_f: -3.488 eV/f.u.
Volume: 22.2 Å³/atom
E: -28.22 eV/atom
Total moment: 0.0 μB per formula unit

***

6.
BaAlF5: optimized geometry, meta-GGA r2SCAN.

Cell: 4.875 5.626 13.728 Å, 90.00 90.00 90.00°
Positions (direct):
Ba: 0.224 0.159 0.342
Ba: 0.276 0.841 0.842
Ba: 0.724 0.341 0.658
Ba: 0.776 0.659 0.158
Al: 0.182 0.149 0.084
Al: 0.318 0.851 0.584
Al: 0.682 0.351 0.916
Al: 0.818 0.649 0.416
F: 0.023 0.843 0.499
F: 0.054 0.900 0.019
F: 0.106 0.650 0.333
F: 0.149 0.048 0.667
F: 0.199 0.595 0.648
F: 0.301 0.405 0.148
F: 0.351 0.952 0.167
F: 0.394 0.350 0.833
F: 0.446 0.100 0.519
F: 0.477 0.157 0.999
F: 0.523 0.657 0.501
F: 0.554 0.600 0.981
F: 0.606 0.850 0.667
F: 0.649 0.452 0.333
F: 0.699 0.905 0.352
F: 0.801 0.095 0.852
F: 0.851 0.548 0.833
F: 0.894 0.150 0.167
F: 0.946 0.400 0.481
F: 0.977 0.343 0.001

## Properties
ΔE_f: -28.230 eV/f.u.
Volume: 13.4 Å³/atom
E: -11.01 eV/atom
Total moment: 0.0 μB per formula unit